Computed, not measured: a geometry-optimized Mg5Hg structure at the meta-GGA r2SCAN level of DFT.

The structure in extended XYZ format:
```
6
Lattice="-3.7525 3.1948 -6.4563 0.7653 -4.4907 6.7245 -1.4354 3.8784 2.7534" Properties=species:S:1:pos:R:3 pbc="T T T"
Mg -4.4701 5.1338 -5.0793
Mg -2.9868 2.6105 -0.7519
Mg -1.4619 0.0163 3.6972
Mg -1.7520 -0.2083 -0.6199
Mg -3.2193 2.2878 -4.9008
Hg -0.2363 -2.7868 3.8022
```

Values from the calculation:
Formation enthalpy at 0 K: -0.06 eV/atom
Spin magnetization: 0.00 μB per formula unit
Relative energy among the computed polymorphs: 6.4 kJ/mol of formula units
Space-group type: Amm2, No. 38


Computed, not measured: a geometry-optimized Mg3Hg structure at the meta-GGA r2SCAN level of DFT.

The structure in extended XYZ format:
```
8
Lattice="-3.4445 3.8788 3.4842 0.7308 1.1014 -6.1075 -3.9618 -2.6613 -0.9540" Properties=species:S:1:pos:R:3 pbc="T T T"
Mg -1.3240 0.3578 -1.7073
Mg -0.9621 0.9033 -4.7324
Mg -2.6682 2.8245 -3.0067
Mg -4.0073 -0.5057 -0.5707
Mg -5.7135 1.4156 1.1551
Mg -5.3515 1.9611 -1.8701
Hg -3.0432 2.2877 0.0484
Hg -3.6323 0.0312 -3.6258
```

Values from the calculation:
Formation enthalpy at 0 K: -0.16 eV/atom
Spin magnetization: 0.00 μB per formula unit
Space-group type: P6_3/mmc, No. 194


Computed, not measured: a geometry-optimized MgHg2 structure at the meta-GGA r2SCAN level of DFT.

The structure in extended XYZ format:
```
6
Lattice="2.5644 4.4969 -0.0989 -2.5644 4.4969 -0.0989 0.0000 3.8612 5.6018" Properties=species:S:1:pos:R:3 pbc="T T T"
Mg 2.0225 7.3928 4.1025
Mg -2.0225 5.4622 1.3016
Hg -0.5429 5.8849 4.1107
Hg 0.5429 6.9701 1.2934
Hg 0.5429 3.9543 1.3098
Hg -0.5429 8.9007 4.0943
```

Values from the calculation:
Formation enthalpy at 0 K: -0.12 eV/atom
Spin magnetization: 0.00 μB per formula unit
Space-group type: C2/c, No. 15


Computed, not measured: a geometry-optimized MgHgPd2 structure at the meta-GGA r2SCAN level of DFT.

The structure in extended XYZ format:
```
4
Lattice="-1.0918 3.3205 2.9301 1.5921 4.2252 -0.6450 -2.8351 3.3340 -1.2846" Properties=species:S:1:pos:R:3 pbc="T T T"
Mg 0.0000 0.0000 0.0000
Hg -1.1674 5.4399 0.5003
Pd -0.5837 2.7199 0.2501
Pd -1.7510 8.1598 0.7504
```

Values from the calculation:
Formation enthalpy at 0 K: -0.46 eV/atom
Spin magnetization: 0.00 μB per formula unit
Space-group type: Fm-3m, No. 225


Computed, not measured: a geometry-optimized PmMgHg2 structure at the meta-GGA r2SCAN level of DFT.

The structure in extended XYZ format:
```
4
Lattice="0.0000 3.6209 3.6209 3.6209 0.0000 3.6209 3.6209 3.6209 0.0000" Properties=species:S:1:pos:R:3 pbc="T T T"
Pm 5.4314 5.4314 5.4314
Mg 1.8105 1.8105 1.8105
Hg 0.0000 0.0000 0.0000
Hg 3.6209 3.6209 3.6209
```

Values from the calculation:
Formation enthalpy at 0 K: -0.54 eV/atom
Spin magnetization: 0.00 μB per formula unit
Space-group type: Fm-3m, No. 225


Computed, not measured: a geometry-optimized MgSc2Hg structure at the meta-GGA r2SCAN level of DFT.

The structure in extended XYZ format:
```
4
Lattice="0.0000 3.5237 3.5237 3.5237 0.0000 3.5237 3.5237 3.5237 0.0000" Properties=species:S:1:pos:R:3 pbc="T T T"
Mg 0.0000 0.0000 0.0000
Sc 1.7618 1.7618 1.7618
Sc 5.2855 5.2855 5.2855
Hg 3.5237 3.5237 3.5237
```

Values from the calculation:
Formation enthalpy at 0 K: -0.26 eV/atom
Spin magnetization: 0.28 μB per formula unit
Space-group type: Fm-3m, No. 225